<A>
Sr2MgFeO4: optimized geometry, PBE+U.

Output
Calculated volume: 280.4 Å³ per cell
ρ: 3.8 g/cm³
Magnetization: 3.94 μB per formula unit

Cell: 3.9434 3.9434 18.0291 Å, 90.00 90.00 90.00°
Last column: nearest neighbours and their distance in Å.
Fractional coordinates of all 16 atoms:
Sr  0.0000  0.0000  0.1834  1 O 2.33
Sr  0.0000  0.0000  0.8166  1 O 2.33
Sr  0.5000  0.5000  0.3166  1 O 2.33
Sr  0.5000  0.5000  0.6834  1 O 2.33
Mg  0.0000  0.0000  0.0000  4 O 1.97
Mg  0.5000  0.5000  0.5000  4 O 1.97
Fe  0.0000  0.0000  0.5000  4 O 1.97
Fe  0.5000  0.5000  0.0000  4 O 1.97
O  0.0000  0.0000  0.3128  1 Sr 2.33
O  0.0000  0.0000  0.6872  1 Sr 2.33
O  0.0000  0.5000  0.0000  2 Fe 1.97, 2 Mg 1.97
O  0.0000  0.5000  0.5000  2 Fe 1.97, 2 Mg 1.97
O  0.5000  0.0000  0.0000  2 Fe 1.97, 2 Mg 1.97
O  0.5000  0.0000  0.5000  2 Fe 1.97, 2 Mg 1.97
O  0.5000  0.5000  0.1872  1 Sr 2.33
O  0.5000  0.5000  0.8128  1 Sr 2.33

---

<B>
Sr2MgFeO4: optimized geometry, PBE+U.

Output
Calculated volume: 237.2 Å³ per cell
ρ: 4.5 g/cm³
Magnetization: 4.00 μB per formula unit

Cell: 3.4897 3.4897 19.4800 Å, 90.00 90.00 90.00°
Last column: nearest neighbours and their distance in Å.
Fractional coordinates of all 16 atoms:
Sr  0.0000  0.0000  0.1278  2 O 2.33
Sr  0.0000  0.0000  0.8722  2 O 2.33
Sr  0.5000  0.5000  0.3722  2 O 2.33
Sr  0.5000  0.5000  0.6278  2 O 2.33
Mg  0.0000  0.5000  0.2500  4 O 2.07
Mg  0.5000  0.0000  0.7500  4 O 2.07
Fe  0.0000  0.0000  0.5000  4 O 1.98
Fe  0.5000  0.5000  0.0000  4 O 1.98
O  0.0000  0.0000  0.3067  2 Mg 2.07
O  0.0000  0.0000  0.6933  2 Mg 2.07
O  0.0000  0.5000  0.0485  2 Fe 1.98
O  0.0000  0.5000  0.4515  2 Fe 1.98
O  0.5000  0.0000  0.5485  2 Fe 1.98
O  0.5000  0.0000  0.9515  2 Fe 1.98
O  0.5000  0.5000  0.1933  2 Mg 2.07
O  0.5000  0.5000  0.8067  2 Mg 2.07

---

<B> is the most stable structure; the next one sits 81 meV/atom above it.

---

<A>
FeP3O9: optimized geometry, PBE+U.

Output
Calculated volume: 697.1 Å³ per cell
ρ: 2.8 g/cm³
Magnetization: 1.00 μB per formula unit

Cell: 6.3703 10.9960 9.9515 Å, 90.00 90.00 90.00°
Last column: nearest neighbours and their distance in Å.
Fractional coordinates of all 52 atoms:
Fe  0.0000  0.0000  0.0000  6 O 1.94-2.12
Fe  0.0000  0.5000  0.5000  6 O 1.94-2.12
Fe  0.5000  0.0000  0.5000  6 O 1.94-2.12
Fe  0.5000  0.5000  0.0000  6 O 1.94-2.12
P  0.1372  0.1339  0.2894  4 O 1.50-1.62
P  0.1372  0.3661  0.7894  4 O 1.50-1.62
P  0.2500  0.7500  0.0813  4 O 1.50-1.59
P  0.2500  0.7500  0.5813  4 O 1.50-1.59
P  0.3628  0.1339  0.7894  4 O 1.50-1.62
P  0.3628  0.3661  0.2894  4 O 1.50-1.62
P  0.6372  0.6339  0.7106  4 O 1.50-1.62
P  0.6372  0.8661  0.2106  4 O 1.50-1.62
P  0.7500  0.2500  0.4187  4 O 1.50-1.59
P  0.7500  0.2500  0.9187  4 O 1.50-1.59
P  0.8628  0.6339  0.2106  4 O 1.50-1.62
P  0.8628  0.8661  0.7106  4 O 1.50-1.62
O  0.0921  0.6901  0.1853  2 P 1.59-1.61
O  0.0921  0.8099  0.6853  2 P 1.59-1.61
O  0.1141  0.0371  0.1837  1 P 1.50
O  0.1141  0.4629  0.6837  1 P 1.50
O  0.1501  0.6534  0.4969  1 P 1.50
O  0.1501  0.8466  0.9969  1 P 1.50
O  0.2427  0.0973  0.4178  1 P 1.50
O  0.2427  0.4027  0.9178  1 P 1.50
O  0.2500  0.2500  0.2205  2 P 1.62
O  0.2500  0.2500  0.7205  2 P 1.62
O  0.2573  0.0973  0.9178  1 P 1.50
O  0.2573  0.4027  0.4178  1 P 1.50
O  0.3499  0.6534  0.9969  1 P 1.50
O  0.3499  0.8466  0.4969  1 P 1.50
O  0.3859  0.0371  0.6837  1 P 1.50
O  0.3859  0.4629  0.1837  1 P 1.50
O  0.4079  0.6901  0.6853  2 P 1.59-1.61
O  0.4079  0.8099  0.1853  2 P 1.59-1.61
O  0.5921  0.1901  0.8147  2 P 1.59-1.61
O  0.5921  0.3099  0.3147  2 P 1.59-1.61
O  0.6141  0.5371  0.8163  1 P 1.50
O  0.6141  0.9629  0.3163  1 P 1.50
O  0.6501  0.1534  0.5031  1 P 1.50
O  0.6501  0.3466  0.0031  1 P 1.50
O  0.7427  0.5973  0.5822  1 P 1.50
O  0.7427  0.9027  0.0822  1 P 1.50
O  0.7500  0.7500  0.2795  2 P 1.62
O  0.7500  0.7500  0.7795  2 P 1.62
O  0.7573  0.5973  0.0822  1 P 1.50
O  0.7573  0.9027  0.5822  1 P 1.50
O  0.8499  0.1534  0.0031  1 P 1.50
O  0.8499  0.3466  0.5031  1 P 1.50
O  0.8859  0.5371  0.3163  1 P 1.50
O  0.8859  0.9629  0.8163  1 P 1.50
O  0.9079  0.1901  0.3147  2 P 1.59-1.61
O  0.9079  0.3099  0.8147  2 P 1.59-1.61

---

<B>
FeP3O9: optimized geometry, PBE+U.

Output
Calculated volume: 624.1 Å³ per cell
ρ: 3.1 g/cm³
Magnetization: 5.01 μB per formula unit

Cell: 8.4469 8.5315 8.6610 Å, 90.04 90.20 90.62°
Last column: nearest neighbours and their distance in Å.
Fractional coordinates of all 52 atoms:
Fe  0.0000  0.0000  0.0000  6 O 1.95-2.06
Fe  0.2294  0.7179  0.4968  6 O 1.94-2.12
Fe  0.5007  0.2135  0.7004  6 O 1.99-2.09
Fe  0.7332  0.5026  0.1999  6 O 1.99-2.08
P  0.0460  0.3688  0.0411  4 O 1.51-1.61
P  0.0738  0.0489  0.3997  4 O 1.49-1.62
P  0.1577  0.6679  0.9024  4 O 1.49-1.63
P  0.1866  0.3481  0.5383  4 O 1.50-1.61
P  0.3301  0.1775  0.0379  4 O 1.50-1.62
P  0.3997  0.6835  0.1565  4 O 1.49-1.63
P  0.5460  0.8422  0.6596  4 O 1.50-1.61
P  0.5668  0.1638  0.2976  4 O 1.50-1.61
P  0.6673  0.5515  0.7984  4 O 1.49-1.62
P  0.6889  0.8737  0.1571  4 O 1.50-1.61
P  0.8359  0.0328  0.6618  4 O 1.50-1.63
P  0.9018  0.5387  0.5390  4 O 1.50-1.61
O  0.0041  0.6742  0.4825  1 P 1.52
O  0.0109  0.3943  0.5926  2 P 1.61
O  0.0259  0.0170  0.2366  1 P 1.49
O  0.0507  0.7749  0.9922  1 P 1.51
O  0.0801  0.4927  0.9062  2 P 1.60-1.63
O  0.1490  0.2245  0.4026  2 P 1.61-1.62
O  0.1871  0.9442  0.4861  1 P 1.51
O  0.2001  0.6992  0.7385  1 P 1.49
O  0.2229  0.3230  0.0931  2 P 1.61-1.62
O  0.2258  0.0444  0.9817  1 P 1.51
O  0.2678  0.2652  0.6692  1 P 1.50
O  0.2684  0.4896  0.4702  1 P 1.51
O  0.2756  0.7401  0.2641  1 P 1.49
O  0.3210  0.6387  0.9940  2 P 1.60-1.61
O  0.4062  0.1309  0.2008  2 P 1.60-1.61
O  0.4582  0.2312  0.9304  1 P 1.50
O  0.4633  0.7578  0.5287  1 P 1.51
O  0.4662  0.9818  0.7288  1 P 1.50
O  0.5019  0.5489  0.2062  1 P 1.51
O  0.5141  0.8266  0.0992  2 P 1.60-1.63
O  0.5198  0.1932  0.4613  1 P 1.50
O  0.5620  0.4389  0.7120  1 P 1.50
O  0.5855  0.7209  0.7960  2 P 1.61
O  0.6498  0.9947  0.2935  2 P 1.61
O  0.6716  0.2771  0.2124  1 P 1.50
O  0.7158  0.5205  0.9614  1 P 1.49
O  0.7223  0.8889  0.6049  2 P 1.61-1.63
O  0.7340  0.1683  0.7086  1 P 1.50
O  0.7694  0.7346  0.2272  1 P 1.50
O  0.7710  0.9567  0.0250  1 P 1.51
O  0.7733  0.4863  0.4310  1 P 1.50
O  0.8276  0.5849  0.7017  2 P 1.60-1.62
O  0.9149  0.0736  0.4986  2 P 1.60-1.61
O  0.9619  0.9792  0.7717  1 P 1.50
O  0.9633  0.2267  0.9737  1 P 1.51
O  0.9661  0.4504  0.1734  1 P 1.51

---

<C>
FeP3O9: optimized geometry, PBE+U.

Output
Calculated volume: 707.2 Å³ per cell
ρ: 2.7 g/cm³
Magnetization: 5.00 μB per formula unit

Cell: 9.4507 9.4566 9.6587 Å, 104.52 109.54 108.51°
Last column: nearest neighbours and their distance in Å.
Fractional coordinates of all 52 atoms:
Fe  0.1946  0.3929  0.2937  4 O 1.93-2.00
Fe  0.2759  0.7590  0.2274  5 O 1.95-2.16
Fe  0.7241  0.2410  0.7726  5 O 1.95-2.16
Fe  0.8054  0.6071  0.7063  4 O 1.93-2.00
P  0.0676  0.2038  0.9085  4 O 1.51-1.61
P  0.1088  0.5024  0.8510  4 O 1.50-1.59
P  0.1663  0.9319  0.8063  2 O 1.45-1.52
P  0.2997  0.5672  0.6697  2 O 1.46-1.52
P  0.3411  0.9918  0.5984  4 O 1.50-1.63
P  0.4069  0.3160  0.5788  4 O 1.51-1.59
P  0.5931  0.6840  0.4212  4 O 1.51-1.59
P  0.6589  0.0082  0.4016  4 O 1.50-1.63
P  0.7003  0.4328  0.3303  2 O 1.46-1.52
P  0.8337  0.0681  0.1937  2 O 1.45-1.52
P  0.8912  0.4976  0.1490  4 O 1.50-1.59
P  0.9324  0.7962  0.0915  4 O 1.51-1.61
O  0.0100  0.7727  0.7388  1 P 1.52
O  0.0750  0.5345  0.1905  1 P 1.54
O  0.0930  0.0683  0.8024  2 P 1.57-1.65
O  0.1173  0.8467  0.1472  1 P 1.51
O  0.1341  0.5164  0.7017  2 P 1.57-1.64
O  0.1363  0.3446  0.8505  2 P 1.59-1.61
O  0.1747  0.2628  0.0858  1 P 1.51
O  0.2002  0.9204  0.6478  2 P 1.57-1.65
O  0.2242  0.5376  0.4935  1 P 1.52
O  0.2364  0.6426  0.0063  1 P 1.50
O  0.3022  0.1330  0.5501  2 P 1.59-1.63
O  0.3063  0.8609  0.4491  1 P 1.50
O  0.3132  0.9818  0.9543  1 P 1.45
O  0.3387  0.4099  0.6795  2 P 1.58-1.66
O  0.3602  0.3280  0.4179  1 P 1.51
O  0.4059  0.6263  0.3184  1 P 1.53
O  0.4374  0.7214  0.7926  1 P 1.46
O  0.4847  0.9270  0.2653  1 P 1.51
O  0.5153  0.0730  0.7347  1 P 1.51
O  0.5626  0.2786  0.2074  1 P 1.46
O  0.5941  0.3737  0.6816  1 P 1.53
O  0.6398  0.6720  0.5821  1 P 1.51
O  0.6613  0.5901  0.3205  2 P 1.58-1.66
O  0.6868  0.0182  0.0457  1 P 1.45
O  0.6937  0.1391  0.5509  1 P 1.50
O  0.6978  0.8670  0.4499  2 P 1.59-1.63
O  0.7636  0.3574  0.9937  1 P 1.50
O  0.7758  0.4624  0.5065  1 P 1.52
O  0.7998  0.0796  0.3522  2 P 1.57-1.65
O  0.8253  0.7372  0.9142  1 P 1.51
O  0.8637  0.6554  0.1495  2 P 1.59-1.61
O  0.8659  0.4836  0.2983  2 P 1.57-1.64
O  0.8827  0.1533  0.8528  1 P 1.51
O  0.9070  0.9317  0.1976  2 P 1.57-1.65
O  0.9250  0.4655  0.8095  1 P 1.54
O  0.9900  0.2273  0.2612  1 P 1.52

---

<B> is the most stable structure; the next one sits 43 meV/atom above it.